Below is crystalline Na18Mg4Ta20Si27S9O144 at its relaxed geometry, with properties calculated at the GGA-PBE level.

Results
As for the crystal system: triclinic. The total energy is -7.73 eV/atom. The magnetization is 0.000 μB per cell.

Lattice parameters (Å, degrees): 17.880 8.929 22.736 90.03 89.90 120.05
Element x y z (fractional)
1 Na 0.315 0.017 0.239
2 Na 0.816 0.014 0.250
3 Na 0.993 0.618 0.239
4 Na 0.317 0.616 0.753
5 Na 0.816 0.612 0.744
6 Na 0.492 0.368 0.742
7 Na 0.992 0.993 0.494
8 Na 0.501 0.005 0.498
9 Na 0.001 0.998 0.001
10 Na 0.491 0.983 0.998
11 Na 0.324 0.317 0.827
12 Na 0.833 0.329 0.825
13 Na 0.335 0.340 0.321
14 Na 0.824 0.329 0.321
15 Na 0.165 0.665 0.159
16 Na 0.651 0.649 0.169
17 Na 0.161 0.666 0.675
18 Na 0.662 0.661 0.662
19 Mg 0.336 0.329 0.692
20 Mg 0.832 0.344 0.688
21 Mg 0.339 0.326 0.186
22 Mg 0.835 0.342 0.191
23 Ta 0.999 0.001 0.356
24 Ta 0.507 0.012 0.357
25 Ta 0.007 0.000 0.859
26 Ta 0.499 0.996 0.857
27 Ta 0.003 0.991 0.647
28 Ta 0.502 0.014 0.650
29 Ta 0.002 0.991 0.149
30 Ta 0.503 0.006 0.142
31 Ta 0.341 0.339 0.978
32 Ta 0.839 0.349 0.975
33 Ta 0.340 0.332 0.474
34 Ta 0.833 0.343 0.475
35 Ta 0.166 0.674 0.020
36 Ta 0.663 0.668 0.018
37 Ta 0.167 0.665 0.516
38 Ta 0.666 0.658 0.520
39 Ta 0.164 0.661 0.313
40 Ta 0.664 0.665 0.310
41 Ta 0.165 0.665 0.812
42 Ta 0.663 0.666 0.814
43 Si 0.148 0.009 0.254
44 Si 0.644 0.001 0.249
45 Si 0.853 0.709 0.252
46 Si 0.004 0.288 0.249
47 Si 0.500 0.290 0.251
48 Si 0.144 0.289 0.749
49 Si 0.648 0.289 0.754
50 Si 0.000 0.704 0.753
51 Si 0.504 0.720 0.748
52 Si 0.353 0.998 0.753
53 Si 0.477 0.332 0.587
54 Si 0.833 0.626 0.587
55 Si 0.478 0.620 0.087
56 Si 0.978 0.622 0.087
57 Si 0.332 0.042 0.087
58 Si 0.308 0.661 0.916
59 Si 0.810 0.672 0.916
60 Si 0.025 0.380 0.917
61 Si 0.522 0.374 0.917
62 Si 0.172 0.959 0.916
63 Si 0.668 0.960 0.917
64 Si 0.312 0.951 0.414
65 Si 0.809 0.952 0.416
66 Si 0.167 0.375 0.417
67 Si 0.668 0.385 0.415
68 Si 0.023 0.670 0.417
69 Si 0.527 0.673 0.417
70 S 0.358 0.715 0.250
71 S 0.858 0.002 0.749
72 S 0.979 0.335 0.584
73 S 0.189 0.043 0.584
74 S 0.690 0.048 0.584
75 S 0.332 0.622 0.583
76 S 0.834 0.044 0.083
77 S 0.189 0.332 0.084
78 S 0.691 0.337 0.083
79 O 0.093 0.011 0.310
80 O 0.592 0.014 0.307
81 O 0.408 0.799 0.304
82 O 0.915 0.814 0.308
83 O 0.490 0.163 0.307
84 O 0.994 0.170 0.307
85 O 0.090 0.165 0.805
86 O 0.593 0.176 0.810
87 O 0.494 0.819 0.806
88 O 0.986 0.810 0.806
89 O 0.415 0.016 0.808
90 O 0.908 0.023 0.803
91 O 0.403 0.970 0.693
92 O 0.901 0.971 0.696
93 O 0.081 0.191 0.690
94 O 0.583 0.202 0.695
95 O 0.010 0.829 0.693
96 O 0.518 0.840 0.689
97 O 0.398 0.826 0.197
98 O 0.904 0.838 0.194
99 O 0.017 0.195 0.190
100 O 0.509 0.186 0.193
101 O 0.082 0.963 0.195
102 O 0.582 0.975 0.191
103 O 0.439 0.357 0.647
104 O 0.940 0.357 0.637
105 O 0.238 0.120 0.636
106 O 0.741 0.126 0.637
107 O 0.318 0.526 0.638
108 O 0.820 0.526 0.647
109 O 0.438 0.511 0.144
110 O 0.939 0.521 0.147
111 O 0.311 0.102 0.148
112 O 0.821 0.114 0.138
113 O 0.237 0.353 0.138
114 O 0.740 0.356 0.136
115 O 0.229 0.310 0.030
116 O 0.730 0.312 0.029
117 O 0.420 0.530 0.027
118 O 0.914 0.518 0.030
119 O 0.343 0.169 0.030
120 O 0.840 0.151 0.031
121 O 0.227 0.143 0.529
122 O 0.734 0.153 0.531
123 O 0.338 0.529 0.531
124 O 0.845 0.521 0.530
125 O 0.413 0.310 0.530
126 O 0.929 0.315 0.530
127 O 0.260 0.689 0.972
128 O 0.762 0.693 0.974
129 O 0.083 0.466 0.975
130 O 0.583 0.476 0.973
131 O 0.153 0.835 0.974
132 O 0.654 0.835 0.974
133 O 0.261 0.833 0.473
134 O 0.760 0.828 0.473
135 O 0.155 0.475 0.475
136 O 0.653 0.469 0.474
137 O 0.083 0.688 0.474
138 O 0.584 0.699 0.476
139 O 0.068 0.638 0.359
140 O 0.569 0.636 0.360
141 O 0.252 0.864 0.356
142 O 0.752 0.872 0.357
143 O 0.183 0.502 0.360
144 O 0.684 0.505 0.358
145 O 0.068 0.501 0.859
146 O 0.568 0.496 0.858
147 O 0.183 0.864 0.858
148 O 0.683 0.866 0.859
149 O 0.252 0.635 0.856
150 O 0.753 0.642 0.856
151 O 0.013 0.838 0.413
152 O 0.510 0.834 0.409
153 O 0.406 0.970 0.410
154 O 0.905 0.975 0.411
155 O 0.081 0.189 0.412
156 O 0.583 0.192 0.410
157 O 0.010 0.186 0.907
158 O 0.513 0.186 0.913
159 O 0.084 0.974 0.910
160 O 0.582 0.973 0.910
161 O 0.404 0.832 0.909
162 O 0.905 0.841 0.908
163 O 0.488 0.155 0.587
164 O 0.991 0.181 0.587
165 O 0.099 0.021 0.588
166 O 0.603 0.032 0.586
167 O 0.411 0.797 0.584
168 O 0.922 0.826 0.589
169 O 0.492 0.820 0.090
170 O 0.988 0.819 0.088
171 O 0.421 0.026 0.090
172 O 0.914 0.030 0.085
173 O 0.099 0.172 0.087
174 O 0.601 0.180 0.086
175 O 0.347 0.169 0.749
176 O 0.847 0.149 0.740
177 O 0.239 0.318 0.743
178 O 0.741 0.308 0.749
179 O 0.419 0.533 0.746
180 O 0.916 0.518 0.748
181 O 0.343 0.542 0.245
182 O 0.848 0.527 0.249
183 O 0.415 0.304 0.251
184 O 0.919 0.306 0.247
185 O 0.241 0.175 0.249
186 O 0.740 0.160 0.244
187 O 0.317 0.491 0.927
188 O 0.819 0.499 0.925
189 O 0.429 0.362 0.923
190 O 0.929 0.360 0.926
191 O 0.253 0.149 0.926
192 O 0.753 0.147 0.929
193 O 0.319 0.141 0.426
194 O 0.820 0.144 0.432
195 O 0.253 0.360 0.430
196 O 0.752 0.358 0.426
197 O 0.429 0.498 0.427
198 O 0.929 0.493 0.426
199 O 0.175 0.484 0.078
200 O 0.680 0.491 0.077
201 O 0.074 0.647 0.075
202 O 0.578 0.649 0.075
203 O 0.252 0.842 0.073
204 O 0.758 0.864 0.076
205 O 0.175 0.862 0.577
206 O 0.678 0.871 0.578
207 O 0.254 0.649 0.576
208 O 0.752 0.659 0.575
209 O 0.069 0.494 0.577
210 O 0.574 0.501 0.575
211 O 0.153 0.826 0.258
212 O 0.649 0.822 0.256
213 O 0.272 0.713 0.255
214 O 0.763 0.714 0.255
215 O 0.091 0.482 0.255
216 O 0.591 0.474 0.257
217 O 0.148 0.476 0.755
218 O 0.655 0.484 0.756
219 O 0.091 0.708 0.756
220 O 0.592 0.701 0.754
221 O 0.263 0.812 0.754
222 O 0.773 0.835 0.752